Model P:
Material: Pr2Fe14B
Method: DFT, PBE
State: relaxed

Cell: 8.7831 8.7831 12.1715 Å, 90.00 90.00 90.00°
Last column: nearest neighbours and their distance in Å.
Fractional positions:
Pr (0.1424, 0.1424, 0.0000)  1 B 2.91, 6 Fe 3.07-3.13
Pr (0.2311, 0.2311, 0.5000)  16 Fe 3.05-3.29, 2 B 3.25
Pr (0.2689, 0.7311, 0.0000)  16 Fe 3.05-3.29, 2 B 3.25
Pr (0.3576, 0.6424, 0.5000)  1 B 2.91, 6 Fe 3.07-3.13
Pr (0.6424, 0.3576, 0.5000)  1 B 2.91, 6 Fe 3.07-3.13
Pr (0.7311, 0.2689, 0.0000)  16 Fe 3.05-3.29, 2 B 3.25
Pr (0.7689, 0.7689, 0.5000)  16 Fe 3.05-3.29, 2 B 3.25
Pr (0.8576, 0.8576, 0.0000)  1 B 2.91, 6 Fe 3.07-3.13
Fe (0.0000, 0.0000, 0.3857)  2 B 2.07
Fe (0.0000, 0.0000, 0.6143)  2 B 2.07
Fe (0.0000, 0.5000, 0.0000)  8 Fe 2.50-2.58
Fe (0.0000, 0.5000, 0.5000)  8 Fe 2.50-2.58
Fe (0.0370, 0.6396, 0.1766)  10 Fe 2.39-2.65
Fe (0.0370, 0.6396, 0.8234)  10 Fe 2.39-2.65
Fe (0.0676, 0.7246, 0.3724)  1 B 2.11
Fe (0.0676, 0.7246, 0.6276)  1 B 2.11
Fe (0.0982, 0.9018, 0.2062)  8 Fe 2.39-2.63
Fe (0.0982, 0.9018, 0.7938)  8 Fe 2.39-2.63
Fe (0.1396, 0.4630, 0.3234)  10 Fe 2.39-2.65
Fe (0.1396, 0.4630, 0.6766)  10 Fe 2.39-2.65
Fe (0.1819, 0.1819, 0.2543)  12 Fe 2.63-2.77
Fe (0.1819, 0.1819, 0.7457)  12 Fe 2.63-2.77
Fe (0.2246, 0.4324, 0.1276)  1 B 2.11
Fe (0.2246, 0.4324, 0.8724)  1 B 2.11
Fe (0.2754, 0.9324, 0.3724)  1 B 2.11
Fe (0.2754, 0.9324, 0.6276)  1 B 2.11
Fe (0.3181, 0.6819, 0.2457)  12 Fe 2.63-2.77
Fe (0.3181, 0.6819, 0.7543)  12 Fe 2.63-2.77
Fe (0.3604, 0.9630, 0.1766)  10 Fe 2.39-2.65
Fe (0.3604, 0.9630, 0.8234)  10 Fe 2.39-2.65
Fe (0.4018, 0.4018, 0.2938)  8 Fe 2.39-2.63
Fe (0.4018, 0.4018, 0.7062)  8 Fe 2.39-2.63
Fe (0.4324, 0.2246, 0.1276)  1 B 2.11
Fe (0.4324, 0.2246, 0.8724)  1 B 2.11
Fe (0.4630, 0.1396, 0.3234)  10 Fe 2.39-2.65
Fe (0.4630, 0.1396, 0.6766)  10 Fe 2.39-2.65
Fe (0.5000, 0.0000, 0.0000)  8 Fe 2.50-2.58
Fe (0.5000, 0.0000, 0.5000)  8 Fe 2.50-2.58
Fe (0.5000, 0.5000, 0.1143)  2 B 2.07
Fe (0.5000, 0.5000, 0.8857)  2 B 2.07
Fe (0.5370, 0.8604, 0.3234)  10 Fe 2.39-2.65
Fe (0.5370, 0.8604, 0.6766)  10 Fe 2.39-2.65
Fe (0.5676, 0.7754, 0.1276)  1 B 2.11
Fe (0.5676, 0.7754, 0.8724)  1 B 2.11
Fe (0.5982, 0.5982, 0.2938)  8 Fe 2.39-2.63
Fe (0.5982, 0.5982, 0.7062)  8 Fe 2.39-2.63
Fe (0.6396, 0.0370, 0.1766)  10 Fe 2.39-2.65
Fe (0.6396, 0.0370, 0.8234)  10 Fe 2.39-2.65
Fe (0.6819, 0.3181, 0.2457)  12 Fe 2.63-2.77
Fe (0.6819, 0.3181, 0.7543)  12 Fe 2.63-2.77
Fe (0.7246, 0.0676, 0.3724)  1 B 2.11
Fe (0.7246, 0.0676, 0.6276)  1 B 2.11
Fe (0.7754, 0.5676, 0.1276)  1 B 2.11
Fe (0.7754, 0.5676, 0.8724)  1 B 2.11
Fe (0.8181, 0.8181, 0.2543)  12 Fe 2.63-2.77
Fe (0.8181, 0.8181, 0.7457)  12 Fe 2.63-2.77
Fe (0.8604, 0.5370, 0.3234)  10 Fe 2.39-2.65
Fe (0.8604, 0.5370, 0.6766)  10 Fe 2.39-2.65
Fe (0.9018, 0.0982, 0.2062)  8 Fe 2.39-2.63
Fe (0.9018, 0.0982, 0.7938)  8 Fe 2.39-2.63
Fe (0.9324, 0.2754, 0.3724)  1 B 2.11
Fe (0.9324, 0.2754, 0.6276)  1 B 2.11
Fe (0.9630, 0.3604, 0.1766)  10 Fe 2.39-2.65
Fe (0.9630, 0.3604, 0.8234)  10 Fe 2.39-2.65
B (0.1233, 0.8767, 0.5000)  6 Fe 2.07-2.11
B (0.3767, 0.3767, 0.0000)  6 Fe 2.07-2.11
B (0.6233, 0.6233, 0.0000)  6 Fe 2.07-2.11
B (0.8767, 0.1233, 0.5000)  6 Fe 2.07-2.11

Calculated values
For the size of the total moment, the calculation gives 125.464 Bohr magnetons per cell.

***

Model Q:
Material: Pr2Fe14B
Method: DFT, PBE
State: relaxed

Cell: 8.7507 8.7507 12.6124 Å, 90.00 90.00 90.00°
Last column: nearest neighbours and their distance in Å.
Fractional positions:
Pr (0.1800, 0.1800, 0.0000)  6 Fe 2.57-2.87, 1 B 2.68
Pr (0.2418, 0.7582, 0.0000)  14 Fe 2.99-3.25
Pr (0.2582, 0.2582, 0.5000)  14 Fe 2.99-3.25
Pr (0.3200, 0.6800, 0.5000)  6 Fe 2.57-2.87, 1 B 2.68
Pr (0.6800, 0.3200, 0.5000)  6 Fe 2.57-2.87, 1 B 2.68
Pr (0.7418, 0.7418, 0.5000)  14 Fe 2.99-3.25
Pr (0.7582, 0.2418, 0.0000)  14 Fe 2.99-3.25
Pr (0.8200, 0.8200, 0.0000)  6 Fe 2.57-2.87, 1 B 2.68
Fe (0.0000, 0.0000, 0.1012)  2 Fe 2.21
Fe (0.0000, 0.0000, 0.8988)  2 Fe 2.21
Fe (0.0000, 0.5000, 0.0000)  8 Fe 2.52-2.58
Fe (0.0000, 0.5000, 0.5000)  8 Fe 2.52-2.58
Fe (0.0252, 0.6436, 0.1781)  10 Fe 2.47-2.73
Fe (0.0252, 0.6436, 0.8219)  10 Fe 2.47-2.73
Fe (0.0413, 0.7324, 0.3855)  1 B 2.11, 1 Fe 2.35
Fe (0.0413, 0.7324, 0.6145)  1 B 2.11, 1 Fe 2.35
Fe (0.1026, 0.8974, 0.2449)  5 Fe 2.21-2.47
Fe (0.1026, 0.8974, 0.7551)  5 Fe 2.21-2.47
Fe (0.1436, 0.4748, 0.3219)  10 Fe 2.47-2.73
Fe (0.1436, 0.4748, 0.6781)  10 Fe 2.47-2.73
Fe (0.1951, 0.1951, 0.2499)  9 Fe 2.50-2.76
Fe (0.1951, 0.1951, 0.7501)  9 Fe 2.50-2.76
Fe (0.2324, 0.4587, 0.1145)  1 B 2.11, 1 Fe 2.35
Fe (0.2324, 0.4587, 0.8855)  1 B 2.11, 1 Fe 2.35
Fe (0.2676, 0.9587, 0.3855)  1 B 2.11, 1 Fe 2.35
Fe (0.2676, 0.9587, 0.6145)  1 B 2.11, 1 Fe 2.35
Fe (0.3049, 0.6951, 0.2501)  9 Fe 2.50-2.76
Fe (0.3049, 0.6951, 0.7499)  9 Fe 2.50-2.76
Fe (0.3564, 0.9748, 0.1781)  10 Fe 2.47-2.73
Fe (0.3564, 0.9748, 0.8219)  10 Fe 2.47-2.73
Fe (0.3974, 0.3974, 0.2551)  5 Fe 2.21-2.47
Fe (0.3974, 0.3974, 0.7449)  5 Fe 2.21-2.47
Fe (0.4587, 0.2324, 0.1145)  1 B 2.11, 1 Fe 2.35
Fe (0.4587, 0.2324, 0.8855)  1 B 2.11, 1 Fe 2.35
Fe (0.4748, 0.1436, 0.3219)  10 Fe 2.47-2.73
Fe (0.4748, 0.1436, 0.6781)  10 Fe 2.47-2.73
Fe (0.5000, 0.0000, 0.0000)  8 Fe 2.52-2.58
Fe (0.5000, 0.0000, 0.5000)  8 Fe 2.52-2.58
Fe (0.5000, 0.5000, 0.3988)  2 Fe 2.21
Fe (0.5000, 0.5000, 0.6012)  2 Fe 2.21
Fe (0.5252, 0.8564, 0.3219)  10 Fe 2.47-2.73
Fe (0.5252, 0.8564, 0.6781)  10 Fe 2.47-2.73
Fe (0.5413, 0.7676, 0.1145)  1 B 2.11, 1 Fe 2.35
Fe (0.5413, 0.7676, 0.8855)  1 B 2.11, 1 Fe 2.35
Fe (0.6026, 0.6026, 0.2551)  5 Fe 2.21-2.47
Fe (0.6026, 0.6026, 0.7449)  5 Fe 2.21-2.47
Fe (0.6436, 0.0252, 0.1781)  10 Fe 2.47-2.73
Fe (0.6436, 0.0252, 0.8219)  10 Fe 2.47-2.73
Fe (0.6951, 0.3049, 0.2501)  9 Fe 2.50-2.76
Fe (0.6951, 0.3049, 0.7499)  9 Fe 2.50-2.76
Fe (0.7324, 0.0413, 0.3855)  1 B 2.11, 1 Fe 2.35
Fe (0.7324, 0.0413, 0.6145)  1 B 2.11, 1 Fe 2.35
Fe (0.7676, 0.5413, 0.1145)  1 B 2.11, 1 Fe 2.35
Fe (0.7676, 0.5413, 0.8855)  1 B 2.11, 1 Fe 2.35
Fe (0.8049, 0.8049, 0.2499)  9 Fe 2.50-2.76
Fe (0.8049, 0.8049, 0.7501)  9 Fe 2.50-2.76
Fe (0.8564, 0.5252, 0.3219)  10 Fe 2.47-2.73
Fe (0.8564, 0.5252, 0.6781)  10 Fe 2.47-2.73
Fe (0.8974, 0.1026, 0.2449)  5 Fe 2.21-2.47
Fe (0.8974, 0.1026, 0.7551)  5 Fe 2.21-2.47
Fe (0.9587, 0.2676, 0.3855)  1 B 2.11, 1 Fe 2.35
Fe (0.9587, 0.2676, 0.6145)  1 B 2.11, 1 Fe 2.35
Fe (0.9748, 0.3564, 0.1781)  10 Fe 2.47-2.73
Fe (0.9748, 0.3564, 0.8219)  10 Fe 2.47-2.73
B (0.1037, 0.8963, 0.5000)  4 Fe 2.11
B (0.3963, 0.3963, 0.0000)  4 Fe 2.11
B (0.6037, 0.6037, 0.0000)  4 Fe 2.11
B (0.8963, 0.1037, 0.5000)  4 Fe 2.11

Calculated values
For the size of the total moment, the calculation gives 126.099 Bohr magnetons per cell.

***

The structure with the most favorable energy is model P; the runner-up is 25.1 kJ/mol of atoms above it.

***

Model P:
Material: Mg6GaB
Method: DFT, PBE
State: relaxed

Cell: 4.0449 6.2540 6.2540 Å, 80.00 90.00 90.00°
Last column: nearest neighbours and their distance in Å.
Fractional positions:
Mg (0.0000, 0.0000, 0.0000)  2 B 2.46
Mg (0.0000, 0.5573, 0.9196)  2 B 2.72, 2 Mg 2.90-2.91
Mg (0.0000, 0.9196, 0.5573)  2 B 2.72, 2 Mg 2.90-2.91
Mg (0.5000, 0.2270, 0.2270)  2 Ga 2.83, 4 Mg 2.97-3.06
Mg (0.5000, 0.2545, 0.7107)  1 B 2.51, 2 Ga 2.77
Mg (0.5000, 0.7107, 0.2545)  1 B 2.51, 2 Ga 2.77
Ga (0.0000, 0.4329, 0.4329)  6 Mg 2.77-2.83
B (0.5000, 0.8531, 0.8531)  8 Mg 2.46-2.72

Calculated values
For the size of the total moment, the calculation gives 0.010 Bohr magnetons per cell.

***

Model Q:
Material: Mg6GaB
Method: DFT, PBE
State: relaxed

Cell: 4.6300 6.0639 6.0639 Å, 65.26 90.00 90.00°
Last column: nearest neighbours and their distance in Å.
Fractional positions:
Mg (0.0000, 0.0000, 0.0000)  2 Ga 2.93, 10 Mg 2.93-3.27
Mg (0.0000, 0.4953, 0.4953)  2 B 2.70, 6 Mg 2.86-2.89
Mg (0.0000, 0.5054, 0.9630)  7 Mg 2.86-3.20, 2 B 2.95, 2 Ga 2.98
Mg (0.0000, 0.9630, 0.5054)  7 Mg 2.86-3.20, 2 B 2.95, 2 Ga 2.98
Mg (0.5000, 0.1870, 0.6775)  1 B 2.58, 2 Mg 2.89
Mg (0.5000, 0.6775, 0.1870)  1 B 2.58, 2 Mg 2.89
Ga (0.5000, 0.1757, 0.1757)  10 Mg 2.93-3.07
B (0.5000, 0.6306, 0.6306)  4 Mg 2.58-2.70

Calculated values
For the size of the total moment, the calculation gives 0.000 Bohr magnetons per cell.

***

The structure with the most favorable energy is model P; the runner-up is 12.8 kJ/mol of atoms above it.

***

Model P:
Material: Mg14GaB
Method: DFT, PBE
State: relaxed

Cell: 9.8759 6.2332 6.2332 Å, 62.47 90.00 90.00°
Last column: nearest neighbours and their distance in Å.
Fractional positions:
Mg (0.0000, 0.0000, 0.0000)  12 Mg 3.06-3.31
Mg (0.0000, 0.0084, 0.5054)  12 Mg 3.05-3.40
Mg (0.0000, 0.4998, 0.4998)  12 Mg 3.05-3.41
Mg (0.0000, 0.5054, 0.0084)  12 Mg 3.05-3.40
Mg (0.2457, 0.6739, 0.6739)  11 Mg 3.04-3.23, 1 Ga 3.15
Mg (0.2507, 0.1747, 0.1747)  1 B 2.89, 9 Mg 2.95-3.23
Mg (0.2888, 0.1661, 0.6959)  1 Ga 2.79, 1 B 2.80, 3 Mg 3.03-3.11
Mg (0.2888, 0.6959, 0.1661)  1 Ga 2.79, 1 B 2.80, 3 Mg 3.03-3.11
Mg (0.5000, 0.4570, 0.9719)  1 B 2.49
Mg (0.5000, 0.9719, 0.4570)  1 B 2.49
Mg (0.7112, 0.1661, 0.6959)  1 Ga 2.79, 1 B 2.80, 3 Mg 3.03-3.11
Mg (0.7112, 0.6959, 0.1661)  1 Ga 2.79, 1 B 2.80, 3 Mg 3.03-3.11
Mg (0.7493, 0.1747, 0.1747)  1 B 2.89, 9 Mg 2.95-3.23
Mg (0.7543, 0.6739, 0.6739)  11 Mg 3.04-3.23, 1 Ga 3.15
Ga (0.5000, 0.4960, 0.4960)  6 Mg 2.79-2.86
B (0.5000, 0.0330, 0.0330)  2 Mg 2.49

***

Model Q:
Material: Mg14GaB
Method: DFT, PBE
State: relaxed

Cell: 6.1979 6.1979 10.1133 Å, 90.00 90.00 120.00°
Last column: nearest neighbours and their distance in Å.
Fractional positions:
Mg (0.0000, 0.0000, 0.2492)  12 Mg 3.09-3.10
Mg (0.0000, 0.0000, 0.7508)  12 Mg 3.09-3.10
Mg (0.0095, 0.5048, 0.2564)  10 Mg 3.01-3.19, 1 B 3.01, 1 Ga 3.12
Mg (0.0095, 0.5048, 0.7436)  10 Mg 3.01-3.19, 1 B 3.01, 1 Ga 3.12
Mg (0.3315, 0.1658, 0.5000)  10 Mg 3.06-3.12, 2 B 3.10
Mg (0.3344, 0.1672, 0.0000)  10 Mg 3.09-3.16, 2 Ga 3.10
Mg (0.4952, 0.5048, 0.2564)  10 Mg 3.01-3.19, 1 B 3.01, 1 Ga 3.12
Mg (0.4952, 0.5048, 0.7436)  10 Mg 3.01-3.19, 1 B 3.01, 1 Ga 3.12
Mg (0.4952, 0.9905, 0.2564)  10 Mg 3.01-3.19, 1 B 3.01, 1 Ga 3.12
Mg (0.4952, 0.9905, 0.7436)  10 Mg 3.01-3.19, 1 B 3.01, 1 Ga 3.12
Mg (0.8328, 0.1672, 0.0000)  10 Mg 3.09-3.16, 2 Ga 3.10
Mg (0.8328, 0.6656, 0.0000)  10 Mg 3.09-3.16, 2 Ga 3.10
Mg (0.8342, 0.1658, 0.5000)  10 Mg 3.06-3.12, 2 B 3.10
Mg (0.8342, 0.6685, 0.5000)  10 Mg 3.06-3.12, 2 B 3.10
Ga (0.3333, 0.6667, 0.0000)  12 Mg 3.10-3.12
B (0.3333, 0.6667, 0.5000)  12 Mg 3.01-3.10

Calculated values
For the size of the total moment, the calculation gives 0.000 Bohr magnetons per cell.

***

The structure with the most favorable energy is model Q; the runner-up is 0.5 kJ/mol of atoms above it.

***

Model P:
Material: Mg14GaBO16
Method: DFT, PBE
State: relaxed

Cell: 4.2527 8.5480 8.5518 Å, 90.00 90.00 90.00°
Last column: nearest neighbours and their distance in Å.
Fractional positions:
Mg (0.0000, 0.0000, 0.0000)  6 O 2.02-2.17
Mg (0.0000, 0.2441, 0.2507)  6 O 2.09-2.19
Mg (0.0000, 0.2441, 0.7493)  6 O 2.09-2.19
Mg (0.0000, 0.5000, 0.0000)  6 O 2.10-2.17
Mg (0.0000, 0.7559, 0.2507)  6 O 2.09-2.19
Mg (0.0000, 0.7559, 0.7493)  6 O 2.09-2.19
Mg (0.5000, 0.0000, 0.2530)  6 O 2.11-2.16
Mg (0.5000, 0.0000, 0.7470)  6 O 2.11-2.16
Mg (0.5000, 0.2426, 0.5000)  6 O 2.07-2.20
Mg (0.5000, 0.2475, 0.0000)  6 O 2.12-2.16
Mg (0.5000, 0.5000, 0.2484)  6 O 2.12-2.15
Mg (0.5000, 0.5000, 0.7516)  6 O 2.12-2.15
Mg (0.5000, 0.7525, 0.0000)  6 O 2.12-2.16
Mg (0.5000, 0.7574, 0.5000)  6 O 2.07-2.20
Ga (0.0000, 0.5000, 0.5000)  6 O 1.92-2.13
B (0.0000, 0.0000, 0.5000)  6 O 2.13-2.35
O (0.0000, 0.0000, 0.2362)  5 Mg 2.02-2.13, 1 B 2.26
O (0.0000, 0.0000, 0.7638)  5 Mg 2.02-2.13, 1 B 2.26
O (0.0000, 0.2544, 0.0000)  6 Mg 2.10-2.17
O (0.0000, 0.2753, 0.5000)  1 Ga 1.92, 4 Mg 2.14-2.15
O (0.0000, 0.5000, 0.2543)  1 Ga 2.10, 5 Mg 2.13-2.19
O (0.0000, 0.5000, 0.7457)  1 Ga 2.10, 5 Mg 2.13-2.19
O (0.0000, 0.7247, 0.5000)  1 Ga 1.92, 4 Mg 2.14-2.15
O (0.0000, 0.7456, 0.0000)  6 Mg 2.10-2.17
O (0.5000, 0.0000, 0.0000)  6 Mg 2.12-2.16
O (0.5000, 0.0000, 0.5000)  4 Mg 2.07-2.11, 2 B 2.13
O (0.5000, 0.2504, 0.2519)  6 Mg 2.12-2.15
O (0.5000, 0.2504, 0.7481)  6 Mg 2.12-2.15
O (0.5000, 0.5000, 0.0000)  6 Mg 2.12-2.16
O (0.5000, 0.5000, 0.5000)  2 Ga 2.13, 4 Mg 2.15-2.20
O (0.5000, 0.7496, 0.2519)  6 Mg 2.12-2.15
O (0.5000, 0.7496, 0.7481)  6 Mg 2.12-2.15

***

Model Q:
Material: Mg14GaBO16
Method: DFT, PBE
State: relaxed

Cell: 8.5681 8.5681 4.2598 Å, 90.00 90.00 90.00°
Last column: nearest neighbours and their distance in Å.
Fractional positions:
Mg (0.0000, 0.2442, 0.0000)  6 O 2.09-2.19
Mg (0.0000, 0.5000, 0.5000)  4 O 1.98-2.13
Mg (0.0000, 0.7558, 0.0000)  6 O 2.09-2.19
Mg (0.2427, 0.2427, 0.5000)  6 O 2.09-2.21
Mg (0.2427, 0.7573, 0.5000)  6 O 2.09-2.21
Mg (0.2442, 0.0000, 0.0000)  6 O 2.09-2.19
Mg (0.2459, 0.5000, 0.0000)  6 O 2.11-2.18
Mg (0.5000, 0.0000, 0.5000)  4 O 1.98-2.13
Mg (0.5000, 0.2459, 0.0000)  6 O 2.11-2.18
Mg (0.5000, 0.7541, 0.0000)  6 O 2.11-2.18
Mg (0.7541, 0.5000, 0.0000)  6 O 2.11-2.18
Mg (0.7558, 0.0000, 0.0000)  6 O 2.09-2.19
Mg (0.7573, 0.2427, 0.5000)  6 O 2.09-2.21
Mg (0.7573, 0.7573, 0.5000)  6 O 2.09-2.21
Ga (0.5000, 0.5000, 0.5000)  6 O 2.03-2.13
B (0.0000, 0.0000, 0.5000)  6 O 2.13-2.30
O (0.0000, 0.0000, 0.0000)  4 Mg 2.09, 2 B 2.13
O (0.0000, 0.2685, 0.5000)  5 Mg 1.98-2.14
O (0.0000, 0.5000, 0.0000)  6 Mg 2.11-2.19
O (0.0000, 0.7315, 0.5000)  5 Mg 1.98-2.14
O (0.2503, 0.2503, 0.0000)  6 Mg 2.13-2.15
O (0.2503, 0.7497, 0.0000)  6 Mg 2.13-2.15
O (0.2634, 0.5000, 0.5000)  1 Ga 2.03, 5 Mg 2.14-2.26
O (0.2685, 0.0000, 0.5000)  5 Mg 1.98-2.14
O (0.5000, 0.0000, 0.0000)  6 Mg 2.11-2.19
O (0.5000, 0.2634, 0.5000)  1 Ga 2.03, 5 Mg 2.14-2.26
O (0.5000, 0.5000, 0.0000)  2 Ga 2.13, 4 Mg 2.18
O (0.5000, 0.7366, 0.5000)  1 Ga 2.03, 5 Mg 2.14-2.26
O (0.7315, 0.0000, 0.5000)  5 Mg 1.98-2.14
O (0.7366, 0.5000, 0.5000)  1 Ga 2.03, 5 Mg 2.14-2.26
O (0.7497, 0.2503, 0.0000)  6 Mg 2.13-2.15
O (0.7497, 0.7497, 0.0000)  6 Mg 2.13-2.15

Calculated values
For the size of the total moment, the calculation gives 0.000 Bohr magnetons per cell.

***

The structure with the most favorable energy is model P; the runner-up is 1.2 kJ/mol of atoms above it.